Entry 1:
! InCuTe2, optimized geometry, DFT PBE-GGA; values from VASP
! - ΔE_f: -0.48 eV/atom
! - Space-group type: I-42d, No. 122
! - Piezoelectric modulus e_max: 0.0 C/m2
&SYSTEM
  ibrav = 0, nat = 16, ntyp = 3
/
ATOMIC_SPECIES
In 114.82 In.upf
Cu 63.55 Cu.upf
Te 127.60 Te.upf
CELL_PARAMETERS angstrom
6.288 0.000 0.000
0.000 6.288 0.000
0.000 0.000 12.600
ATOMIC_POSITIONS angstrom
In 0.000 0.000 0.000
In 0.000 3.144 3.150
In 3.144 0.000 9.450
In 3.144 3.144 6.300
Cu 0.000 0.000 6.300
Cu 0.000 3.144 9.450
Cu 3.144 0.000 3.150
Cu 3.144 3.144 0.000
Te 1.352 4.716 7.875
Te 1.572 1.352 4.725
Te 1.572 1.792 11.025
Te 1.792 4.716 1.575
Te 4.496 1.572 1.575
Te 4.716 4.496 11.025
Te 4.716 4.936 4.725
Te 4.936 1.572 7.875


Entry 2:
! CaZn2H10O8, optimized geometry, DFT PBE-GGA; values from VASP
! - Energy above the lowest structure with this stoichiometry: 0 meV per atom
! - ΔE_f: -1.59 eV/atom
! - Space-group type: P2_1/c, No. 14
&SYSTEM
  ibrav = 0, nat = 42, ntyp = 4
/
ATOMIC_SPECIES
Ca 40.08 Ca.upf
Zn 65.41 Zn.upf
H 1.01 H.upf
O 16.00 O.upf
CELL_PARAMETERS angstrom
6.488 0.000 0.000
0.000 11.075 0.000
-1.279 0.000 5.828
ATOMIC_POSITIONS angstrom
Ca 0.000 0.000 0.000
Ca -0.639 5.537 2.914
Zn 1.967 1.845 4.914
Zn 2.607 3.692 2.000
Zn 2.602 7.382 3.827
Zn 3.242 9.230 0.913
H -0.119 2.622 1.545
H -0.759 2.915 4.459
H -0.005 1.241 3.550
H 0.634 4.296 0.636
H 0.916 7.411 1.460
H 0.277 9.201 4.374
H 0.968 6.140 5.174
H 1.608 10.473 2.260
H 2.752 1.213 1.351
H 2.112 4.324 4.265
H 3.097 6.751 1.563
H 2.457 9.861 4.477
H 3.601 0.602 3.568
H 4.241 4.935 0.654
H 4.932 1.874 1.454
H 4.293 3.664 4.368
H 4.575 6.779 5.192
H 5.214 9.834 2.278
H 5.968 8.160 1.369
H 5.329 8.452 4.283
O -0.071 7.257 1.359
O -0.711 9.355 4.273
O 0.085 1.424 4.510
O 0.724 4.114 1.596
O 1.284 5.964 4.266
O 1.924 10.648 1.352
O 2.576 7.566 1.807
O 1.937 9.047 4.721
O 3.272 2.028 1.107
O 2.633 3.509 4.021
O 3.285 0.427 4.476
O 3.925 5.111 1.562
O 4.485 6.961 4.232
O 5.124 9.651 1.318
O 5.920 1.720 1.555
O 5.281 3.818 4.469


Entry 3:
! LiCuPO4, optimized geometry, DFT PBE-GGA; values from VASP
! - Energy above the lowest structure with this stoichiometry: 31 meV per atom
! - ΔE_f: -2.17 eV/atom
! - Space-group type: Cmcm, No. 63
&SYSTEM
  ibrav = 0, nat = 14, ntyp = 4
/
ATOMIC_SPECIES
Li 6.94 Li.upf
Cu 63.55 Cu.upf
P 30.97 P.upf
O 16.00 O.upf
CELL_PARAMETERS angstrom
2.797 -4.028 0.000
2.797 4.028 0.000
0.000 0.000 6.274
ATOMIC_POSITIONS angstrom
Li 2.797 2.624 4.705
Li 2.797 -2.624 1.568
Cu 2.797 0.000 0.000
Cu 2.797 0.000 3.137
P 2.797 2.799 1.568
P 2.797 -2.799 4.705
O 1.250 0.273 4.705
O 1.250 -0.273 1.568
O 2.797 1.936 0.292
O 2.797 1.936 2.845
O 2.797 -1.936 3.429
O 2.797 -1.936 5.982
O 4.344 0.273 4.705
O 4.344 -0.273 1.568


Repeat the first record exactly.
! InCuTe2, optimized geometry, DFT PBE-GGA; values from VASP
! - ΔE_f: -0.48 eV/atom
! - Space-group type: I-42d, No. 122
! - Piezoelectric modulus e_max: 0.0 C/m2
&SYSTEM
  ibrav = 0, nat = 16, ntyp = 3
/
ATOMIC_SPECIES
In 114.82 In.upf
Cu 63.55 Cu.upf
Te 127.60 Te.upf
CELL_PARAMETERS angstrom
6.288 0.000 0.000
0.000 6.288 0.000
0.000 0.000 12.600
ATOMIC_POSITIONS angstrom
In 0.000 0.000 0.000
In 0.000 3.144 3.150
In 3.144 0.000 9.450
In 3.144 3.144 6.300
Cu 0.000 0.000 6.300
Cu 0.000 3.144 9.450
Cu 3.144 0.000 3.150
Cu 3.144 3.144 0.000
Te 1.352 4.716 7.875
Te 1.572 1.352 4.725
Te 1.572 1.792 11.025
Te 1.792 4.716 1.575
Te 4.496 1.572 1.575
Te 4.716 4.496 11.025
Te 4.716 4.936 4.725
Te 4.936 1.572 7.875


Q: What is the ΔE_f in the first record?
A: -0.48 eV/atom


Q: The lowest ΔE_f belongs to which entry?
A: LiCuPO4